Below is a relaxed K3MgV3O8 crystal, with properties calculated at the GGA+U level.

extended XYZ file:
```
15
Lattice="5.796 0.001 0.001 -2.897 5.142 0.143 0.001 0.210 8.336" Properties=species:S:1:pos:R:3 pbc="T T T"
K 0.001 0.003 0.002
K 0.000 3.197 2.063
K 2.900 2.157 6.418
Mg 2.899 0.106 4.170
V 2.900 5.247 4.311
V 0.002 3.269 6.194
V 2.899 2.084 2.285
O 4.281 1.100 3.192
O 2.899 3.809 2.708
O 1.517 1.099 3.191
O 1.384 4.254 5.289
O 0.002 1.542 5.769
O -1.381 4.252 5.288
O 0.000 3.603 7.880
O 2.898 1.744 0.601
```

Computed properties:
As for the energy of formation from the pure elements: -2250 meV per atom. For the uncorrected energy, the calculation gives -6.33 eV/atom.